(1)
The following is a DFT calculation (PBE) of a relaxed structure of Na6YTa3Si6O24.

Calculated values
total magnetic moment	0.000	μB per cell

a = 15.8523 Å, b = 9.1242 Å, c = 9.1749 Å
α = 90.06°, β = 125.03°, γ = 90.04°
Positions (direct):
Si 0.9979 0.0397 0.2599
Si 0.3534 0.8978 0.7594
Si 0.4953 0.4526 0.7374
Si 0.4979 0.5397 0.2599
Si 0.1460 0.6177 0.2449
Si 0.1476 0.3970 0.7472
Si 0.9953 0.9526 0.7374
Si 0.6460 0.1177 0.2449
Si 0.3600 0.0992 0.2515
Si 0.8534 0.3978 0.7594
Si 0.6476 0.8970 0.7472
Si 0.8600 0.5992 0.2515
O 0.4146 0.3602 0.7624
O 0.7425 0.8048 0.7644
O 0.9266 0.0595 0.5592
O 0.9487 0.3352 0.9448
O 0.1586 0.5723 0.7192
O 0.7759 0.6878 0.2607
O 0.2450 0.8457 0.7310
O 0.0811 0.0501 0.9021
O 0.2759 0.1878 0.2607
O 0.9146 0.8602 0.7624
O 0.9341 0.9263 0.0845
O 0.4487 0.8352 0.9448
O 0.4266 0.5595 0.5592
O 0.6586 0.0723 0.7192
O 0.6482 0.8881 0.9233
O 0.9092 0.1392 0.2563
O 0.2447 0.6920 0.2568
O 0.5807 0.6462 0.2671
O 0.5627 0.3252 0.7172
O 0.8522 0.5802 0.7570
O 0.8619 0.3471 0.5917
O 0.5811 0.5501 0.9021
O 0.3554 0.9187 0.2621
O 0.4756 0.1456 0.4198
O 0.1581 0.4419 0.2592
O 0.3522 0.0802 0.7570
O 0.0807 0.1462 0.2671
O 0.8570 0.6366 0.0701
O 0.4341 0.4263 0.0845
O 0.7450 0.3457 0.7310
O 0.3619 0.8471 0.5917
O 0.6466 0.1813 0.4122
O 0.4092 0.6392 0.2563
O 0.5517 0.4335 0.4344
O 0.0374 0.3254 0.5734
O 0.0369 0.6747 0.0607
O 0.5374 0.8254 0.5734
O 0.0627 0.8252 0.7172
O 0.7447 0.1920 0.2568
O 0.1466 0.6813 0.4122
O 0.2425 0.3048 0.7644
O 0.3570 0.1366 0.0701
O 0.9756 0.6456 0.4198
O 0.0517 0.9335 0.4344
O 0.1482 0.3881 0.9233
O 0.8554 0.4187 0.2621
O 0.6581 0.9419 0.2592
O 0.5369 0.1747 0.0607
Na 0.0070 0.6019 0.7626
Na 0.2488 0.2500 0.4943
Na 0.3014 0.4365 0.2276
Na 0.5070 0.1019 0.7626
Na 0.7529 0.2497 0.0002
Na 0.2529 0.7497 0.0002
Na 0.6853 0.5660 0.7851
Na 0.5013 0.8805 0.2450
Na 0.1853 0.0660 0.7851
Na 0.7488 0.7500 0.4943
Na 0.8014 0.9365 0.2276
Na 0.0013 0.3805 0.2450
Ta 0.1069 0.7485 0.5608
Ta 0.6069 0.2485 0.5608
Ta 0.8919 0.2509 0.4372
Ta 0.3919 0.7509 0.4372
Ta 0.3956 0.2560 0.9327
Ta 0.8956 0.7560 0.9327
Y 0.1034 0.2383 0.0648
Y 0.6034 0.7383 0.0648

(2)
The following is a DFT calculation (PBE) of a relaxed structure of Na6YTa3Si6O24.

Calculated values
space group	P1 (1)
total magnetic moment	0.000	μB per cell

a = 9.1587 Å, b = 9.1603 Å, c = 22.4743 Å
α = 90.03°, β = 90.01°, γ = 119.91°
Positions (direct):
Na 0.0000 0.0000 0.0000
Na 0.0006 0.0000 0.4897
Na 0.0447 0.7025 0.9113
Na 0.2981 0.3419 0.9112
Na 0.3161 0.0223 0.0803
Na 0.3225 0.2856 0.5767
Na 0.3319 0.6568 0.8225
Na 0.3447 0.6797 0.3271
Na 0.3575 0.3543 0.2434
Na 0.3606 0.0039 0.7379
Na 0.6555 0.9554 0.9106
Na 0.6658 0.3168 0.1634
Na 0.6816 0.3487 0.6599
Na 0.7048 0.6808 0.0807
Na 0.7110 0.0361 0.5776
Na 0.9654 0.6784 0.5772
Na 0.9773 0.2962 0.0806
Na 0.9926 0.6415 0.2432
Y 0.3327 0.6668 0.9713
Y 0.9974 0.0016 0.1496
Y 0.9965 0.9990 0.6403
Ta 0.3321 0.6663 0.4659
Ta 0.3331 0.6634 0.6801
Ta 0.3353 0.6690 0.1786
Ta 0.6662 0.3306 0.3098
Ta 0.6658 0.3327 0.5107
Ta 0.6662 0.3337 0.0135
Ta 0.6694 0.3361 0.8025
Ta 0.9981 0.0003 0.8415
Ta 0.9982 0.9992 0.3460
Si 0.0000 0.6996 0.7390
Si 0.0330 0.6625 0.0738
Si 0.0442 0.3870 0.5724
Si 0.2974 0.3004 0.7403
Si 0.3021 0.0012 0.2426
Si 0.3359 0.3702 0.0735
Si 0.3409 0.9559 0.5732
Si 0.3700 0.3295 0.4087
Si 0.3717 0.0506 0.9060
Si 0.6137 0.6586 0.5719
Si 0.6274 0.9654 0.0725
Si 0.6703 0.0408 0.4099
Si 0.6773 0.6271 0.9069
Si 0.6984 0.6993 0.2430
Si 0.6985 0.9978 0.7394
Si 0.9483 0.3207 0.9073
Si 0.9579 0.6302 0.4091
Si 0.9972 0.3008 0.2418
O 0.0018 0.8195 0.0807
O 0.0250 0.2022 0.5735
O 0.0254 0.8347 0.7949
O 0.0285 0.1895 0.2930
O 0.1336 0.4852 0.9047
O 0.1347 0.6926 0.0123
O 0.1392 0.6418 0.1311
O 0.1405 0.5060 0.6314
O 0.1452 0.6492 0.4133
O 0.1604 0.4870 0.5150
O 0.1608 0.9693 0.2943
O 0.1685 0.1936 0.7973
O 0.1746 0.4869 0.2376
O 0.1763 0.9776 0.5724
O 0.1798 0.1817 0.0797
O 0.1801 0.7005 0.7378
O 0.1857 0.0393 0.9026
O 0.1857 0.1602 0.4002
O 0.2348 0.1872 0.6810
O 0.2466 0.0502 0.1809
O 0.3051 0.8231 0.2359
O 0.3065 0.4824 0.7361
O 0.3069 0.4426 0.0119
O 0.3263 0.8368 0.5167
O 0.3491 0.8642 0.9047
O 0.3507 0.4975 0.4132
O 0.3549 0.4963 0.1308
O 0.3628 0.8659 0.6343
O 0.4686 0.3063 0.4675
O 0.4695 0.1672 0.9664
O 0.4856 0.3252 0.7520
O 0.4866 0.1522 0.8494
O 0.4888 0.1630 0.2556
O 0.4907 0.3525 0.3519
O 0.4958 0.6390 0.6310
O 0.4958 0.8523 0.1277
O 0.5015 0.8547 0.4132
O 0.5106 0.6817 0.2361
O 0.5123 0.6729 0.5146
O 0.5124 0.8262 0.7378
O 0.5129 0.6484 0.9047
O 0.5157 0.1442 0.5695
O 0.5195 0.3731 0.0713
O 0.5594 0.8674 0.0101
O 0.6239 0.1456 0.0714
O 0.6257 0.4830 0.5696
O 0.6505 0.1471 0.3551
O 0.6614 0.1545 0.7504
O 0.6633 0.5052 0.8525
O 0.6655 0.5072 0.2546
O 0.6937 0.1595 0.4696
O 0.6980 0.5338 0.9681
O 0.7979 0.0344 0.6778
O 0.7988 0.8233 0.5723
O 0.8039 0.7526 0.1817
O 0.8073 0.9778 0.7961
O 0.8096 0.8333 0.2959
O 0.8147 0.9956 0.0806
O 0.8356 0.3025 0.9684
O 0.8370 0.5301 0.4677
O 0.8386 0.3301 0.8525
O 0.8400 0.0270 0.4004
O 0.8424 0.5102 0.7514
O 0.8429 0.3400 0.2537
O 0.8524 0.4793 0.0715
O 0.8520 0.8112 0.9014
O 0.8564 0.3745 0.5697
O 0.8590 0.5118 0.3519
O 0.9585 0.1459 0.9028
O 0.9632 0.2113 0.1778
O 0.9665 0.7649 0.6773
O 0.9743 0.8157 0.4016

The most stable structure shown above is (1); the least stable is (2).